The following is a PBE-GGA calculation of a relaxed NaTaTi3P6O24 crystal, from the Materials Project database.

Structure (CIF):
```
data_NaTaTi3P6O24
_symmetry_space_group_name_H-M 'P 3'
_symmetry_Int_Tables_number 143
_symmetry_space_group_name_Hall 'P 3'
_cell_length_a 8.6242
_cell_length_b 8.6242
_cell_length_c 22.4185
_cell_angle_alpha 90.00
_cell_angle_beta 90.00
_cell_angle_gamma 120.00
loop_
_atom_site_label
_atom_site_type_symbol
_atom_site_fract_x
_atom_site_fract_y
_atom_site_fract_z
Na1 Na 0.0000 0.0000 0.0000
Na2 Na 0.0000 0.0000 0.4990
Na3 Na 0.3333 0.6667 0.1632
Ta1 Ta 0.3333 0.6667 0.3124
Ta2 Ta 0.3333 0.6667 0.8104
Ta3 Ta 0.6667 0.3333 0.6881
Ti1 Ti 0.0000 0.0000 0.1442
Ti2 Ti 0.0000 0.0000 0.3527
Ti3 Ti 0.0000 0.0000 0.6440
Ti4 Ti 0.0000 0.0000 0.8545
Ti5 Ti 0.3333 0.6667 0.0207
Ti6 Ti 0.3333 0.6667 0.5232
Ti7 Ti 0.6667 0.3333 0.1881
Ti8 Ti 0.6667 0.3333 0.4755
Ti9 Ti 0.6667 0.3333 0.9773
P1 P 0.9998 0.2809 0.7493
P2 P 0.0440 0.6662 0.9174
P3 P 0.0447 0.3770 0.4181
P4 P 0.2865 0.2822 0.2486
P5 P 0.3786 0.3331 0.5810
P6 P 0.3813 0.0479 0.0827
O1 O 0.0254 0.1914 0.4082
O2 O 0.0263 0.8343 0.9080
O3 O 0.0317 0.1992 0.6936
O4 O 0.0333 0.8328 0.1935
O5 O 0.1321 0.4949 0.3611
O6 O 0.1327 0.6378 0.8610
O7 O 0.1395 0.6405 0.5730
O8 O 0.1412 0.5003 0.0749
O9 O 0.1638 0.4701 0.7589
O10 O 0.1656 0.4658 0.4719
O11 O 0.1656 0.6932 0.2571
O12 O 0.1657 0.7000 0.9717
O13 O 0.1924 0.0258 0.0905
O14 O 0.1919 0.1662 0.5909
O15 O 0.1991 0.0316 0.8052
O16 O 0.1995 0.1704 0.3049
O17 O 0.4653 0.2996 0.5270
O18 O 0.4655 0.1632 0.0268
O19 O 0.4702 0.1639 0.7400
O20 O 0.4730 0.3071 0.2396
O21 O 0.4948 0.3625 0.6379
O22 O 0.4964 0.1322 0.1387
O23 O 0.4994 0.1395 0.4260
O24 O 0.4993 0.3595 0.9257
```

Summary:
As for the volume: 481 Å³/f.u. The energy with MP2020 corrections comes out at -8.40 eV per atom. As for the formation energy from the elements: -3.024 eV per atom. The calculation puts the size of the total moment at 0.00 Bohr magnetons per cell. The crystal system is trigonal.